Entry 1:
Density functional theory data (PBE-GGA) for TePCl9 after structural relaxation.

a = 12.478 Å, b = 12.478 Å, c = 12.478 Å
α = 119.95°, β = 119.57°, γ = 90.42°
Sites, in units of the cell vectors:
Cl: 0.153 0.691 0.760
Cl: 0.736 0.252 0.119
Cl: 0.574 0.445 0.519
Cl: 0.729 0.774 0.654
Cl: 0.214 0.227 0.294
Cl: 0.981 0.824 0.305
Cl: 0.038 0.567 0.395
Cl: 0.566 0.579 0.294
Cl: 0.074 0.555 0.129
Cl: 0.880 0.226 0.956
Cl: 0.891 0.981 0.082
Cl: 0.653 0.893 0.462
Cl: 0.569 0.107 0.760
Cl: 0.066 0.773 0.987
Cl: 0.774 0.075 0.349
Cl: 0.848 0.369 0.717
Cl: 0.274 0.925 0.698
Cl: 0.538 0.143 0.471
Cl: 0.348 0.631 0.479
Cl: 0.561 0.867 0.929
Cl: 0.380 0.424 0.654
Cl: 0.237 0.347 0.084
Cl: 0.866 0.748 0.483
Cl: 0.366 0.883 0.119
Cl: 0.737 0.653 0.890
Cl: 0.229 0.576 0.956
Cl: 0.714 0.421 0.987
Cl: 0.481 0.176 0.157
Cl: 0.828 0.433 0.471
Cl: 0.069 0.309 0.462
Cl: 0.102 0.019 0.910
Cl: 0.236 0.117 0.483
Cl: 0.328 0.857 0.395
Cl: 0.602 0.691 0.082
Cl: 0.391 0.309 0.910
Cl: 0.061 0.133 0.694
P: 0.725 0.252 0.956
P: 0.225 0.268 0.473
P: 0.705 0.748 0.473
P: 0.205 0.732 0.956
Te: 0.751 0.846 0.097
Te: 0.176 0.720 0.396
Te: 0.251 0.154 0.905
Te: 0.676 0.280 0.455

Calculated values
The calculation puts the volume at 1378.6 Å³/cell. The space group is Ima2, No. 46.

***

Entry 2:
Density functional theory data (PBE-GGA) for K4Cd3P6O24 after structural relaxation.

a = 6.763 Å, b = 9.281 Å, c = 20.725 Å
α = 65.89°, β = 90.00°, γ = 90.00°
Sites, in units of the cell vectors:
O: 0.344 0.607 0.501
O: 0.131 0.102 0.075
O: 0.286 0.963 0.705
O: 0.377 0.241 0.657
O: 0.844 0.393 0.999
O: 0.786 0.037 0.795
O: 0.369 0.102 0.575
O: 0.355 0.964 0.336
O: 0.091 0.615 0.592
O: 0.285 0.870 0.999
O: 0.343 0.521 0.359
O: 0.237 0.353 0.791
O: 0.109 0.631 0.179
O: 0.656 0.393 0.499
O: 0.714 0.037 0.295
O: 0.855 0.036 0.164
O: 0.645 0.036 0.664
O: 0.263 0.353 0.291
O: 0.145 0.964 0.836
O: 0.409 0.615 0.092
O: 0.657 0.479 0.641
O: 0.214 0.963 0.205
O: 0.909 0.385 0.408
O: 0.156 0.607 0.001
O: 0.715 0.130 0.001
O: 0.157 0.521 0.859
O: 0.215 0.870 0.499
O: 0.591 0.385 0.908
O: 0.877 0.759 0.843
O: 0.737 0.647 0.709
O: 0.891 0.369 0.821
O: 0.763 0.647 0.209
O: 0.123 0.241 0.157
O: 0.139 0.231 0.921
O: 0.631 0.898 0.425
O: 0.391 0.631 0.679
O: 0.609 0.369 0.321
O: 0.785 0.130 0.501
O: 0.639 0.769 0.579
O: 0.843 0.479 0.141
O: 0.623 0.759 0.343
O: 0.509 0.692 0.966
O: 0.991 0.692 0.466
O: 0.869 0.898 0.925
O: 0.361 0.231 0.421
O: 0.009 0.308 0.534
O: 0.861 0.769 0.079
O: 0.491 0.308 0.034
Cd: 0.817 0.629 0.007
Cd: 0.317 0.371 0.493
Cd: 0.000 0.000 0.000
Cd: 0.683 0.629 0.507
Cd: 0.183 0.371 0.993
Cd: 0.500 0.000 0.500
P: 0.926 0.915 0.849
P: 0.163 0.696 0.515
P: 0.074 0.085 0.151
P: 0.663 0.304 0.985
P: 0.426 0.085 0.651
P: 0.837 0.304 0.485
P: 0.895 0.627 0.153
P: 0.105 0.373 0.847
P: 0.605 0.627 0.653
P: 0.574 0.915 0.349
P: 0.337 0.696 0.015
P: 0.395 0.373 0.347
K: 0.509 0.301 0.188
K: 0.991 0.893 0.627
K: 0.009 0.107 0.373
K: 0.991 0.301 0.688
K: 0.491 0.107 0.873
K: 0.491 0.699 0.812
K: 0.509 0.893 0.127
K: 0.009 0.699 0.312

Calculated values
Its total magnetization is 16.006 μB/cell. The calculation puts the volume at 1187.4 Å³/cell. The space group is P2_1/c, No. 14.

***

Uncorrected energy readings, ordered: -2.910; -5.940 eV/atom
DFT formation energy readings, ordered: -1.122; -2.103 eV per atom